Here is a geometry-optimized CeSn2Pd2 structure from the Materials Project. Energies are from GGA-PBE.

Output
total DFT energy (no corrections) = -5.584 eV per atom
symmetry = No. 129
calculated volume = 22.5 Å³/atom

Unit cell a=4.619 b=4.619 c=10.563 alpha=90.00 beta=90.00 gamma=90.00
Element x y z (fractional)
Ce  0.500  0.000  0.757
Ce  0.000  0.500  0.243
Pd  0.000  0.000  0.000
Pd  0.500  0.000  0.372
Pd  0.500  0.500  0.000
Pd  0.000  0.500  0.628
Sn  0.000  0.000  0.500
Sn  0.500  0.500  0.500
Sn  0.000  0.500  0.874
Sn  0.500  0.000  0.126